Computed, not measured: crystalline H6PbCBr3N at its relaxed geometry at the PBE level of DFT.

```
data_H6PbCBr3N
_cell_length_a 8.5470
_cell_length_b 12.1840
_cell_length_c 8.4217
_cell_angle_alpha 90.00
_cell_angle_beta 90.00
_cell_angle_gamma 90.00
_symmetry_space_group_name_H-M 'P n m a'
_symmetry_Int_Tables_number 62
_symmetry_space_group_name_Hall '-P 2ac 2n'
loop_
_atom_site_label
_atom_site_fract_x
_atom_site_fract_y
_atom_site_fract_z
_atom_site_occupancy
H1 0.0816 0.1819 0.1088 1
H2 0.0923 0.6759 0.1173 1
H3 0.1622 0.2500 0.9584 1
H4 0.1762 0.7500 0.9538 1
Pb1 0.0000 0.0000 0.5000 1
C1 0.0846 0.7500 0.0444 1
Br1 0.0243 0.7500 0.5613 1
Br2 0.2005 0.0176 0.8010 1
N1 0.0700 0.2500 0.0369 1
```

Values from the calculation:
**Relative energy among the computed polymorphs**: 0.327 kcal/mol of atoms
**Crystal system**: orthorhombic
**Calculated density**: 3.63 g/cm3
**E_form**: -0.541 eV per atom